DFT (GGA-PBE) results for RbLiZn2O3 after structural relaxation.

abc: 10.4988 10.4988 3.4743
angles: 90.00 90.00 90.00
Space group P4_2/mnm (No. 136)
Inequivalent atoms, fractional coordinates:
Rb (0.1097, 0.1097, 0.0000) (multiplicity 4)
Li (0.2016, 0.7984, 0.0000) (multiplicity 4)
Zn (0.0731, 0.6717, 0.5000) (multiplicity 8)
O (0.1138, 0.3447, 0.5000) (multiplicity 8)
O (0.1416, 0.8584, 0.5000) (multiplicity 4)

## Properties
Corrected total energy (MP2020 scheme) in eV/atom: -4.69
ΔE_f in eV per atom: -1.795
Volume in Å³ per cell: 383
M_tot in μB/f.u.: 0.000
E in eV/cell: -123.03

***

DFT (GGA-PBE) results for LiPtO2 after structural relaxation.

abc: 5.7031 9.6249 5.1478
angles: 90.00 112.85 90.00
Space group C2/m (No. 12)
Inequivalent atoms, fractional coordinates:
Li (0.0000, 0.0000, 0.0000) (multiplicity 2)
Li (0.0000, 0.3285, 0.0000) (multiplicity 4)
Pt (0.0000, 0.1640, 0.5000) (multiplicity 4)
Pt (0.0000, 0.5000, 0.5000) (multiplicity 2)
O (0.2243, 0.0000, 0.7352) (multiplicity 4)
O (0.2487, 0.3198, 0.7286) (multiplicity 8)

## Properties
Corrected total energy (MP2020 scheme) in eV/atom: -5.59
ΔE_f in eV per atom: -1.119
Volume in Å³ per cell: 260
M_tot in μB/f.u.: 0.520
E in eV/cell: -125.86

***

DFT (GGA-PBE) results for BaO after structural relaxation.

abc: 4.3612 4.3612 6.6056
angles: 90.00 90.00 120.00
Space group P6_3mc (No. 186)
Inequivalent atoms, fractional coordinates:
Ba (0.3333, 0.6667, 0.0000) (multiplicity 2)
O (0.3333, 0.6667, 0.3951) (multiplicity 2)

## Properties
Corrected total energy (MP2020 scheme) in eV/atom: -6.24
ΔE_f in eV per atom: -2.806
Volume in Å³ per cell: 109
M_tot in μB/f.u.: 0.000
E in eV/cell: -23.58

***

DFT (GGA-PBE) results for YCu2Sn2 after structural relaxation.

abc: 4.3749 4.3749 10.7664
angles: 90.00 90.00 90.00
Space group P4/nmm (No. 129, origin choice 2)
Inequivalent atoms, fractional coordinates:
Y (0.2500, 0.2500, 0.2374) (multiplicity 2)
Cu (0.2500, 0.2500, 0.6388) (multiplicity 2)
Cu (0.2500, 0.7500, 0.0000) (multiplicity 2)
Sn (0.2500, 0.2500, 0.8694) (multiplicity 2)
Sn (0.2500, 0.7500, 0.5000) (multiplicity 2)

## Properties
ΔE_f in eV per atom: -0.342
Volume in Å³ per cell: 206
M_tot in μB/f.u.: 0.000
E in eV/cell: -48.79

***

DFT (GGA-PBE) results for Ba4Pt3O9 after structural relaxation.

abc: 8.7571 10.1992 10.2803
angles: 60.36 89.94 89.76
Space group P1 (No. 1)
Inequivalent atoms, fractional coordinates:
Ba (0.0000, 0.0000, 0.0000) (multiplicity 1)
Ba (0.9998, 0.2809, 0.3366) (multiplicity 1)
Ba (0.0017, 0.6161, 0.6515) (multiplicity 1)
Ba (0.2439, 0.6430, 0.3085) (multiplicity 1)
Ba (0.2472, 0.9376, 0.6665) (multiplicity 1)
Ba (0.2494, 0.2999, 0.0155) (multiplicity 1)
Ba (0.4980, 0.2957, 0.3247) (multiplicity 1)
Ba (0.4994, 0.6200, 0.6729) (multiplicity 1)
Ba (0.4987, 0.9824, 0.0003) (multiplicity 1)
Ba (0.7499, 0.3088, 0.9973) (multiplicity 1)
Ba (0.7520, 0.5978, 0.3327) (multiplicity 1)
Ba (0.7515, 0.9609, 0.6891) (multiplicity 1)
Pt (0.9997, 0.7060, 0.9274) (multiplicity 1)
Pt (0.1014, 0.9591, 0.3341) (multiplicity 1)
Pt (0.2345, 0.2923, 0.5947) (multiplicity 1)
Pt (0.3381, 0.6303, 0.0050) (multiplicity 1)
Pt (0.4250, 0.9598, 0.3327) (multiplicity 1)
Pt (0.5730, 0.2950, 0.6727) (multiplicity 1)
Pt (0.6613, 0.6279, 0.0057) (multiplicity 1)
Pt (0.7638, 0.8806, 0.4093) (multiplicity 1)
Pt (0.8966, 0.2945, 0.6704) (multiplicity 1)
O (0.0146, 0.3096, 0.8334) (multiplicity 1)
O (0.0468, 0.4391, 0.5093) (multiplicity 1)
O (0.0524, 0.1425, 0.6728) (multiplicity 1)
O (0.1815, 0.7855, 0.9976) (multiplicity 1)
O (0.1846, 0.6290, 0.8545) (multiplicity 1)
O (0.2243, 0.4588, 0.1774) (multiplicity 1)
O (0.2618, 0.0989, 0.3476) (multiplicity 1)
O (0.2621, 0.9654, 0.1806) (multiplicity 1)
O (0.2630, 0.7936, 0.4864) (multiplicity 1)
O (0.4155, 0.1441, 0.6806) (multiplicity 1)
O (0.4191, 0.4391, 0.5197) (multiplicity 1)
O (0.4596, 0.3097, 0.8343) (multiplicity 1)
O (0.4990, 0.4868, 0.9998) (multiplicity 1)
O (0.4994, 0.6348, 0.1497) (multiplicity 1)
O (0.5009, 0.7862, 0.8492) (multiplicity 1)
O (0.5358, 0.1345, 0.1685) (multiplicity 1)
O (0.5790, 0.9512, 0.4852) (multiplicity 1)
O (0.5837, 0.8161, 0.3251) (multiplicity 1)
O (0.7352, 0.2793, 0.5225) (multiplicity 1)
O (0.7353, 0.4496, 0.6580) (multiplicity 1)
O (0.7370, 0.1484, 0.8241) (multiplicity 1)
O (0.7718, 0.4488, 0.1756) (multiplicity 1)
O (0.8164, 0.6309, 0.8543) (multiplicity 1)
O (0.8181, 0.7790, 0.0052) (multiplicity 1)
O (0.9471, 0.8097, 0.3286) (multiplicity 1)
O (0.9488, 0.9472, 0.4909) (multiplicity 1)
O (0.9850, 0.1372, 0.1709) (multiplicity 1)

## Properties
Corrected total energy (MP2020 scheme) in eV/atom: -6.47
ΔE_f in eV per atom: -2.073
E above lowest polymorph in eV/f.u.: 0.03
Volume in Å³ per cell: 798
E in eV/cell: -292.23

***

DFT (GGA-PBE) results for Al2O3 after structural relaxation.

abc: 5.5471 5.6653 14.5778
angles: 94.37 93.79 118.71
Space group P1 (No. 1)
Inequivalent atoms, fractional coordinates:
Al (0.0000, 0.0000, 0.0000) (multiplicity 1)
Al (0.9999, 0.7588, 0.1511) (multiplicity 1)
Al (0.0309, 0.4246, 0.2997) (multiplicity 1)
Al (0.0429, 0.7279, 0.4993) (multiplicity 1)
Al (0.1618, 0.4710, 0.6646) (multiplicity 1)
Al (0.2240, 0.8455, 0.8232) (multiplicity 1)
Al (0.3641, 0.4901, 0.4946) (multiplicity 1)
Al (0.3952, 0.4080, 0.8352) (multiplicity 1)
Al (0.4187, 0.6823, 0.0150) (multiplicity 1)
Al (0.4556, 0.3678, 0.1710) (multiplicity 1)
Al (0.4790, 0.1245, 0.3372) (multiplicity 1)
Al (0.6092, 0.2779, 0.9882) (multiplicity 1)
Al (0.6718, 0.4866, 0.6558) (multiplicity 1)
Al (0.6877, 0.7741, 0.3347) (multiplicity 1)
Al (0.7585, 0.0513, 0.8009) (multiplicity 1)
Al (0.7725, 0.0215, 0.5162) (multiplicity 1)
O (0.0536, 0.4628, 0.4245) (multiplicity 1)
O (0.0698, 0.2206, 0.7547) (multiplicity 1)
O (0.2247, 0.8490, 0.0570) (multiplicity 1)
O (0.2363, 0.0906, 0.9103) (multiplicity 1)
O (0.2607, 0.6193, 0.8945) (multiplicity 1)
O (0.2690, 0.3528, 0.0606) (multiplicity 1)
O (0.2699, 0.0690, 0.2294) (multiplicity 1)
O (0.3029, 0.7305, 0.5773) (multiplicity 1)
O (0.3170, 0.2981, 0.5937) (multiplicity 1)
O (0.3459, 0.5727, 0.2484) (multiplicity 1)
O (0.5047, 0.9134, 0.4202) (multiplicity 1)
O (0.5057, 0.1500, 0.7767) (multiplicity 1)
O (0.5273, 0.4331, 0.3981) (multiplicity 1)
O (0.5426, 0.6699, 0.7478) (multiplicity 1)
O (0.6803, 0.5708, 0.9327) (multiplicity 1)
O (0.7457, 0.3900, 0.1070) (multiplicity 1)
O (0.7563, 0.0920, 0.2840) (multiplicity 1)
O (0.7597, 0.0884, 0.9311) (multiplicity 1)
O (0.7613, 0.7232, 0.5628) (multiplicity 1)
O (0.7664, 0.8642, 0.0892) (multiplicity 1)
O (0.8135, 0.2860, 0.5949) (multiplicity 1)
O (0.8459, 0.6132, 0.2618) (multiplicity 1)
O (0.9914, 0.9558, 0.4320) (multiplicity 1)
O (0.9994, 0.6457, 0.7273) (multiplicity 1)

## Properties
Corrected total energy (MP2020 scheme) in eV/atom: -7.68
ΔE_f in eV per atom: -3.212
Volume in Å³ per cell: 398
M_tot in μB/f.u.: 0.000
E in eV/cell: -290.68